[1]
{
  "formula": "LiMnF4",
  "functional": "PBE with a Hubbard U",
  "state": "relaxed",
  "formation_enthalpy_0k_ev_per_atom": -2.8822,
  "final_energy_ev_per_atom": -5.418,
  "energy_corrected_mp2020_ev_per_atom": -6.004,
  "sg": "C2/m, No. 12",
  "magmom_total_mub_per_cell": 8.00,
  "lattice": [[0.000, 3.932, 0.000], [-6.691, 1.966, -0.075], [-2.086, 0.000, 6.083]],
  "species": ["Li", "Li", "Mn", "Mn", "F", "F", "F", "F", "F", "F", "F", "F"],
  "fractional_positions": [[0.199, 0.602, 0.809], [0.801, 0.398, 0.191], [0.109, 0.782, 0.199], [0.891, 0.218, 0.801], [0.060, 0.880, 0.884], [0.139, 0.722, 0.493], [0.746, 0.507, 0.841], [0.617, 0.765, 0.195], [0.383, 0.235, 0.805], [0.254, 0.493, 0.159], [0.861, 0.278, 0.507], [0.940, 0.120, 0.116]]
}


[2]
{
  "formula": "Ba2CeWO6",
  "functional": "PBE with a Hubbard U",
  "state": "relaxed",
  "formation_enthalpy_0k_ev_per_atom": -3.0534,
  "final_energy_ev_per_atom": -7.439,
  "energy_corrected_mp2020_ev_per_atom": -8.295,
  "sg": "Pn-3, No. 201",
  "magmom_total_mub_per_cell": 8.00,
  "lattice": [[8.614, 0.000, 0.000], [0.000, 8.614, 0.000], [0.000, 0.000, 8.614]],
  "species": ["Ba", "Ba", "Ba", "Ba", "Ba", "Ba", "Ba", "Ba", "Ce", "Ce", "Ce", "Ce", "W", "W", "W", "W", "O", "O", "O", "O", "O", "O", "O", "O", "O", "O", "O", "O", "O", "O", "O", "O", "O", "O", "O", "O", "O", "O", "O", "O"],
  "fractional_positions": [[0.500, 0.500, 0.500], [0.000, 0.000, 0.000], [0.000, 0.000, 0.500], [0.000, 0.500, 0.000], [0.500, 0.000, 0.000], [0.500, 0.500, 0.000], [0.500, 0.000, 0.500], [0.000, 0.500, 0.500], [0.750, 0.750, 0.750], [0.750, 0.250, 0.250], [0.250, 0.750, 0.250], [0.250, 0.250, 0.750], [0.250, 0.250, 0.250], [0.250, 0.750, 0.750], [0.750, 0.250, 0.750], [0.750, 0.750, 0.250], [0.233, 0.266, 0.486], [0.233, 0.734, 0.514], [0.767, 0.266, 0.514], [0.767, 0.734, 0.486], [0.266, 0.486, 0.233], [0.734, 0.514, 0.233], [0.266, 0.514, 0.767], [0.734, 0.486, 0.767], [0.486, 0.233, 0.266], [0.514, 0.233, 0.734], [0.514, 0.767, 0.266], [0.486, 0.767, 0.734], [0.267, 0.234, 0.014], [0.267, 0.766, 0.986], [0.733, 0.234, 0.986], [0.733, 0.766, 0.014], [0.234, 0.014, 0.267], [0.766, 0.986, 0.267], [0.234, 0.986, 0.733], [0.766, 0.014, 0.733], [0.014, 0.267, 0.234], [0.986, 0.267, 0.766], [0.986, 0.733, 0.234], [0.014, 0.733, 0.766]]
}